<P>
Compound: LiV3O4
Source: Materials Project
Functional: PBE+U
Structure: relaxed

## Properties
space group: P2/m
total magnetization: 10.0 μB/cell

abc: 5.2794 6.0960 5.2821
angles: 90.00 110.25 90.00
Last column: nearest neighbours and their distance in Å.
Positions (direct):
Li: 0.0000 0.0000 0.0000  6 O 2.16
Li: 0.5000 0.5000 0.5000  6 O 2.13-2.27
V: 0.0000 0.2469 0.5000  6 O 2.14-2.17
V: 0.0000 0.5000 0.0000  6 O 2.06-2.09
V: 0.0000 0.7531 0.5000  6 O 2.14-2.17
V: 0.5000 0.0000 0.5000  6 O 2.17-2.20
V: 0.5000 0.2459 0.0000  6 O 2.12-2.16
V: 0.5000 0.7541 0.0000  6 O 2.12-2.16
O: 0.2398 0.5000 0.7644  5 V 2.06-2.17, 1 Li 2.27
O: 0.2458 0.2583 0.2445  4 V 2.09-2.20, 2 Li 2.13-2.16
O: 0.2458 0.7417 0.2445  4 V 2.09-2.20, 2 Li 2.13-2.16
O: 0.2514 0.0000 0.7521  5 V 2.12-2.17, 1 Li 2.16
O: 0.7486 0.0000 0.2479  5 V 2.12-2.17, 1 Li 2.16
O: 0.7542 0.2583 0.7555  4 V 2.09-2.20, 2 Li 2.13-2.16
O: 0.7542 0.7417 0.7555  4 V 2.09-2.20, 2 Li 2.13-2.16
O: 0.7602 0.5000 0.2356  5 V 2.06-2.17, 1 Li 2.27

=====

<Q>
Compound: LiV3O4
Source: Materials Project
Functional: PBE+U
Structure: relaxed

## Properties
total magnetization: 0.0 μB/cell

abc: 4.3332 7.9089 5.2615
angles: 90.62 114.31 74.10
Last column: nearest neighbours and their distance in Å.
Positions (direct):
O: 0.3797 0.3666 0.1260  5 V 2.10-2.17, 1 Li 2.16
O: 0.9999 0.5000 0.5000  4 V 2.12-2.13, 2 Li 2.17
O: 0.7500 0.2500 0.7500  2 Li 2.13, 4 V 2.14-2.17
O: 0.2500 0.7500 0.2500  2 Li 2.13, 4 V 2.14-2.17
O: 0.6203 0.6334 0.8740  5 V 2.10-2.17, 1 Li 2.16
O: 0.8797 0.8666 0.6260  5 V 2.10-2.17, 1 Li 2.16
O: 0.5001 0.0000 0.0000  4 V 2.12-2.13, 2 Li 2.17
O: 0.1203 0.1334 0.3740  5 V 2.10-2.17, 1 Li 2.16
V: 0.7500 0.7500 0.2500  6 O 2.10-2.17
V: 0.6313 0.1177 0.3802  6 O 2.12-2.17
V: 0.8687 0.3823 0.1198  6 O 2.12-2.17
V: 0.2500 0.2500 0.7500  6 O 2.10-2.17
V: 0.3687 0.8823 0.6198  6 O 2.12-2.17
V: 0.1313 0.6177 0.8802  6 O 2.12-2.17
Li: 0.5000 0.5000 0.5000  6 O 2.13-2.17
Li: 0.0000 0.0000 0.0000  6 O 2.13-2.17

=====

Going by the computed energies, the most stable comes first: <Q>, <P>.

=====

<P>
Compound: Li4V2C4SO16
Source: Materials Project
Functional: PBE+U
Structure: relaxed

## Properties
space group: Fddd
total magnetization: 8.0 μB/cell

abc: 9.7481 9.6456 9.3107
angles: 61.86 60.76 57.38
Last column: nearest neighbours and their distance in Å.
Positions (direct):
Li: 0.0777 0.6723 0.0777  6 O 2.17-2.36
Li: 0.0791 0.6709 0.6709  4 O 2.14-2.21
Li: 0.3277 0.9223 0.3277  6 O 2.17-2.36
Li: 0.3291 0.9209 0.9209  4 O 2.14-2.21
Li: 0.6709 0.0791 0.0791  4 O 2.14-2.21
Li: 0.6723 0.0777 0.6723  6 O 2.17-2.36
Li: 0.9209 0.3291 0.3291  4 O 2.14-2.21
Li: 0.9223 0.3277 0.9223  6 O 2.17-2.36
V: 0.0000 0.5000 0.5000  6 O 2.02-2.09
V: 0.5000 0.0000 0.5000  6 O 2.02-2.09
V: 0.5000 0.5000 0.0000  6 O 2.02-2.09
V: 0.5000 0.5000 0.5000  6 O 2.02-2.09
C: 0.2634 0.6544 0.2955  3 O 1.29-1.30
C: 0.2867 0.2955 0.6544  3 O 1.29-1.30
C: 0.2955 0.2867 0.2634  3 O 1.29-1.30
C: 0.3456 0.7366 0.7133  3 O 1.29-1.30
C: 0.6544 0.2634 0.2867  3 O 1.29-1.30
C: 0.7045 0.7133 0.7366  3 O 1.29-1.30
C: 0.7133 0.7045 0.3456  3 O 1.29-1.30
C: 0.7366 0.3456 0.7045  3 O 1.29-1.30
S: 0.1250 0.1250 0.1250  4 O 1.50
S: 0.8750 0.8750 0.8750  4 O 1.50
O: 0.0464 0.3172 0.0694  1 S 1.50
O: 0.0670 0.0694 0.3172  1 S 1.50
O: 0.0694 0.0670 0.0464  1 S 1.50
O: 0.1254 0.6486 0.4236  1 C 1.30
O: 0.1423 0.3179 0.6565  1 C 1.30
O: 0.1466 0.4127 0.2810  1 C 1.29
O: 0.2810 0.6597 0.1466  1 C 1.29
O: 0.3024 0.4236 0.6486  1 C 1.30
O: 0.3172 0.0464 0.0670  1 S 1.50
O: 0.3179 0.1423 0.3833  1 C 1.30
O: 0.3403 0.7190 0.5873  1 C 1.29
O: 0.3435 0.6167 0.8577  1 C 1.30
O: 0.3514 0.8746 0.6976  1 C 1.30
O: 0.3833 0.6565 0.3179  1 C 1.30
O: 0.4127 0.1466 0.6597  1 C 1.29
O: 0.4236 0.3024 0.1254  1 C 1.30
O: 0.5764 0.6976 0.8746  1 C 1.30
O: 0.5873 0.8534 0.3403  1 C 1.29
O: 0.6167 0.3435 0.6821  1 C 1.30
O: 0.6486 0.1254 0.3024  1 C 1.30
O: 0.6565 0.3833 0.1423  1 C 1.30
O: 0.6597 0.2810 0.4127  1 C 1.29
O: 0.6821 0.8577 0.6167  1 C 1.30
O: 0.6828 0.9536 0.9330  1 S 1.50
O: 0.6976 0.5764 0.3514  1 C 1.30
O: 0.7190 0.3403 0.8534  1 C 1.29
O: 0.8534 0.5873 0.7190  1 C 1.29
O: 0.8577 0.6821 0.3435  1 C 1.30
O: 0.8746 0.3514 0.5764  1 C 1.30
O: 0.9306 0.9330 0.9536  1 S 1.50
O: 0.9330 0.9306 0.6828  1 S 1.50
O: 0.9536 0.6828 0.9306  1 S 1.50

=====

<Q>
Compound: Li4V2C4SO16
Source: Materials Project
Functional: PBE+U
Structure: relaxed

## Properties
space group: F222
total magnetization: 8.0 μB/cell

abc: 9.6481 9.5110 9.4872
angles: 61.04 59.60 59.36
Last column: nearest neighbours and their distance in Å.
Positions (direct):
Li: 0.0594 0.4406 0.4406  2 O 2.00
Li: 0.2127 0.7873 0.2127  6 O 2.24-2.37
Li: 0.2132 0.7868 0.7868  6 O 2.16-2.40
Li: 0.2136 0.2136 0.7864  6 O 2.25-2.39
Li: 0.4406 0.0594 0.0594  2 O 2.00
Li: 0.7864 0.7864 0.2136  6 O 2.25-2.39
Li: 0.7868 0.2132 0.2132  6 O 2.16-2.40
Li: 0.7873 0.2127 0.7873  6 O 2.24-2.37
V: 0.1256 0.6273 0.6244  6 O 2.01-2.10
V: 0.6228 0.6244 0.6273  6 O 2.01-2.10
V: 0.6244 0.6228 0.1256  6 O 2.01-2.10
V: 0.6273 0.1256 0.6228  6 O 2.01-2.10
C: 0.4028 0.7761 0.4138  3 O 1.28-1.31
C: 0.4073 0.4138 0.7761  3 O 1.28-1.31
C: 0.4138 0.4073 0.4028  3 O 1.28-1.31
C: 0.4670 0.8524 0.8462  3 O 1.29-1.30
C: 0.7761 0.4028 0.4073  3 O 1.28-1.31
C: 0.8343 0.8462 0.8524  3 O 1.29-1.30
C: 0.8462 0.8343 0.4670  3 O 1.29-1.30
C: 0.8524 0.4670 0.8343  3 O 1.29-1.30
S: 0.0000 0.0000 0.0000  4 O 1.50
S: 0.2500 0.2500 0.2500  4 O 1.50
O: 0.0613 0.0653 0.0657  1 S 1.50
O: 0.0653 0.0613 0.8077  1 S 1.50
O: 0.0657 0.8077 0.0613  1 S 1.50
O: 0.1809 0.1952 0.4426  1 S 1.50
O: 0.1813 0.4426 0.1952  1 S 1.50
O: 0.1952 0.1809 0.1813  1 S 1.50
O: 0.2635 0.7735 0.4258  1 C 1.30
O: 0.2670 0.4222 0.5291  1 C 1.31
O: 0.2689 0.5431 0.7718  1 C 1.28
O: 0.4162 0.7718 0.5431  1 C 1.28
O: 0.4222 0.2670 0.7817  1 C 1.31
O: 0.4258 0.5372 0.2635  1 C 1.30
O: 0.4426 0.1813 0.1809  1 S 1.50
O: 0.4591 0.8313 0.9955  1 C 1.30
O: 0.4656 0.9985 0.7270  1 C 1.30
O: 0.4697 0.7322 0.8170  1 C 1.29
O: 0.5291 0.7817 0.2670  1 C 1.31
O: 0.5372 0.4258 0.7735  1 C 1.30
O: 0.5431 0.2689 0.4162  1 C 1.28
O: 0.7141 0.9955 0.8313  1 C 1.30
O: 0.7270 0.8089 0.4656  1 C 1.30
O: 0.7322 0.4697 0.9812  1 C 1.29
O: 0.7718 0.4162 0.2689  1 C 1.28
O: 0.7735 0.2635 0.5372  1 C 1.30
O: 0.7817 0.5291 0.4222  1 C 1.31
O: 0.8077 0.0657 0.0653  1 S 1.50
O: 0.8089 0.7270 0.9985  1 C 1.30
O: 0.8170 0.9812 0.4697  1 C 1.29
O: 0.8313 0.4591 0.7141  1 C 1.30
O: 0.9812 0.8170 0.7322  1 C 1.29
O: 0.9955 0.7141 0.4591  1 C 1.30
O: 0.9985 0.4656 0.8089  1 C 1.30

=====

Going by the computed energies, the most stable comes first: <P>, <Q>.

=====

<P>
Compound: Co3O2F4
Source: Materials Project
Functional: PBE+U
Structure: relaxed

## Properties
space group: P-1
total magnetization: 14.0 μB/cell

abc: 5.5076 5.5728 7.1366
angles: 73.77 73.52 72.03
Last column: nearest neighbours and their distance in Å.
Positions (direct):
Co: 0.0000 0.0000 0.0000  2 O 1.93, 4 F 2.00-2.01
Co: 0.0000 0.0000 0.5000  2 O 1.90, 4 F 1.95-2.05
Co: 0.3057 0.3219 0.1594  2 O 1.82-1.87, 2 F 2.02-2.03
Co: 0.3082 0.3677 0.6778  2 O 1.91-1.97, 4 F 2.04-2.09
Co: 0.6918 0.6323 0.3222  2 O 1.91-1.97, 4 F 2.04-2.09
Co: 0.6943 0.6781 0.8406  2 O 1.82-1.87, 2 F 2.02-2.03
O: 0.0223 0.6667 0.6683  3 Co 1.87-1.91
O: 0.2099 0.2355 0.9679  3 Co 1.82-1.97
O: 0.7901 0.7645 0.0321  3 Co 1.82-1.97
O: 0.9777 0.3333 0.3317  3 Co 1.87-1.91
F: 0.0900 0.1108 0.7027  3 Co 1.95-2.08
F: 0.3210 0.7038 0.9937  3 Co 2.01-2.14
F: 0.3773 0.9420 0.3367  3 Co 2.04-2.12
F: 0.4182 0.4258 0.3659  3 Co 2.03-2.09
F: 0.5818 0.5742 0.6341  3 Co 2.03-2.09
F: 0.6227 0.0580 0.6633  3 Co 2.04-2.12
F: 0.6790 0.2962 0.0063  3 Co 2.01-2.14
F: 0.9100 0.8892 0.2973  3 Co 1.95-2.08

=====

<Q>
Compound: Co3O2F4
Source: Materials Project
Functional: PBE+U
Structure: relaxed

## Properties
space group: P2_1
total magnetization: 10.0 μB/cell

abc: 4.6885 4.7011 9.2728
angles: 90.00 90.81 90.00
Last column: nearest neighbours and their distance in Å.
Positions (direct):
Co: 0.2075 0.0000 0.4229  2 O 1.80-1.99
Co: 0.2627 0.0315 0.7568  1 O 1.76
Co: 0.2776 0.0668 0.0794  2 O 1.96-2.01, 4 F 2.06-2.12
Co: 0.7224 0.5668 0.9206  2 O 1.96-2.01, 4 F 2.06-2.12
Co: 0.7373 0.5315 0.2432  1 O 1.76
Co: 0.7925 0.5000 0.5771  2 O 1.80-1.99
O: 0.0571 0.2229 0.5879  2 Co 1.80-1.99
O: 0.4380 0.8723 0.9055  2 Co 1.76-1.96
O: 0.5620 0.3723 0.0945  2 Co 1.76-1.96
O: 0.9429 0.7229 0.4121  2 Co 1.80-1.99
F: 0.0428 0.2665 0.9107  3 Co 2.06-2.12
F: 0.0631 0.2408 0.2572  3 Co 2.02-2.11
F: 0.4507 0.8566 0.2591  3 Co 2.03-2.09
F: 0.4551 0.8263 0.5807  3 Co 2.03-2.20
F: 0.5449 0.3263 0.4193  3 Co 2.03-2.20
F: 0.5493 0.3566 0.7409  3 Co 2.03-2.09
F: 0.9369 0.7408 0.7428  3 Co 2.02-2.11
F: 0.9572 0.7665 0.0893  3 Co 2.06-2.12

=====

Going by the computed energies, the most stable comes first: <Q>, <P>.